1.
VASP calculation (GGA-PBE) on a geometry-optimized Na3In structure. Values from VASP.

Geometry as Quantum ESPRESSO input:
```
&SYSTEM
  ibrav = 0, nat = 16, ntyp = 2
/
ATOMIC_SPECIES
Na 22.99 Na.upf
In 114.82 In.upf
CELL_PARAMETERS angstrom
7.809 0.000 0.000
0.000 7.809 0.000
0.000 0.000 7.809
ATOMIC_POSITIONS angstrom
Na 0.000 0.000 0.000
Na 0.000 3.904 3.904
Na 1.952 1.952 1.952
Na 1.952 1.952 5.857
Na 1.952 5.857 1.952
Na 1.952 5.857 5.857
Na 3.904 0.000 3.904
Na 3.904 3.904 0.000
Na 5.857 1.952 1.952
Na 5.857 1.952 5.857
Na 5.857 5.857 1.952
Na 5.857 5.857 5.857
In 0.000 0.000 3.904
In 0.000 3.904 0.000
In 3.904 0.000 0.000
In 3.904 3.904 3.904
```

Values from the calculation:
Total energy in eV/atom: -1.73
SG: Fm-3m



2.
VASP calculation (GGA-PBE) on a geometry-optimized NaIn3 structure. Values from VASP.

Geometry as Quantum ESPRESSO input:
```
&SYSTEM
  ibrav = 0, nat = 8, ntyp = 2
/
ATOMIC_SPECIES
Na 22.99 Na.upf
In 114.82 In.upf
CELL_PARAMETERS angstrom
4.682 0.000 0.000
0.000 4.682 0.000
0.000 0.000 9.714
ATOMIC_POSITIONS angstrom
Na 0.000 0.000 0.000
Na 2.341 2.341 4.857
In 0.000 0.000 4.857
In 0.000 2.341 2.429
In 0.000 2.341 7.286
In 2.341 0.000 2.429
In 2.341 0.000 7.286
In 2.341 2.341 0.000
```

Values from the calculation:
Total energy in eV/atom: -2.47
SG: I4/mmm



3.
VASP calculation (GGA-PBE) on a geometry-optimized Na3In structure. Values from VASP.

Geometry as Quantum ESPRESSO input:
```
&SYSTEM
  ibrav = 0, nat = 8, ntyp = 2
/
ATOMIC_SPECIES
Na 22.99 Na.upf
In 114.82 In.upf
CELL_PARAMETERS angstrom
4.898 0.000 0.000
0.000 4.898 0.000
0.000 0.000 10.025
ATOMIC_POSITIONS angstrom
Na 0.000 0.000 0.000
Na 0.000 2.449 2.506
Na 0.000 2.449 7.519
Na 2.449 0.000 2.506
Na 2.449 0.000 7.519
Na 2.449 2.449 5.012
In 0.000 0.000 5.012
In 2.449 2.449 0.000
```

Values from the calculation:
Total energy in eV/atom: -1.72
SG: I4/mmm



4.
VASP calculation (GGA-PBE) on a geometry-optimized NaIn3 structure. Values from VASP.

Geometry as Quantum ESPRESSO input:
```
&SYSTEM
  ibrav = 0, nat = 8, ntyp = 2
/
ATOMIC_SPECIES
Na 22.99 Na.upf
In 114.82 In.upf
CELL_PARAMETERS angstrom
6.666 0.000 0.000
-3.333 5.773 0.000
0.000 0.000 5.554
ATOMIC_POSITIONS angstrom
Na 0.000 3.849 1.389
Na 3.333 1.924 4.166
In 0.000 1.879 4.166
In -1.706 4.834 4.166
In 1.627 0.940 1.389
In 1.706 4.834 4.166
In 5.039 0.940 1.389
In 3.333 3.894 1.389
```

Values from the calculation:
Total energy in eV/atom: -2.47
SG: P6_3/mmc



5.
VASP calculation (GGA-PBE) on a geometry-optimized NaIn3 structure. Values from VASP.

Geometry as Quantum ESPRESSO input:
```
&SYSTEM
  ibrav = 0, nat = 4, ntyp = 2
/
ATOMIC_SPECIES
Na 22.99 Na.upf
In 114.82 In.upf
CELL_PARAMETERS angstrom
4.734 0.000 0.000
0.000 4.734 0.000
0.000 0.000 4.734
ATOMIC_POSITIONS angstrom
Na 0.000 0.000 0.000
In 0.000 2.367 2.367
In 2.367 0.000 2.367
In 2.367 2.367 0.000
```

Values from the calculation:
Total energy in eV/atom: -2.47
SG: Pm-3m



6.
VASP calculation (GGA-PBE) on a geometry-optimized NaIn structure. Values from VASP.

Geometry as Quantum ESPRESSO input:
```
&SYSTEM
  ibrav = 0, nat = 16, ntyp = 2
/
ATOMIC_SPECIES
Na 22.99 Na.upf
In 114.82 In.upf
CELL_PARAMETERS angstrom
7.458 0.000 0.000
0.000 7.458 0.000
0.000 0.000 7.458
ATOMIC_POSITIONS angstrom
Na 0.932 0.932 0.932
Na 0.932 4.661 4.661
Na 2.797 2.797 6.526
Na 2.797 6.526 2.797
Na 4.661 0.932 4.661
Na 4.661 4.661 0.932
Na 6.526 2.797 2.797
Na 6.526 6.526 6.526
In 0.932 0.932 4.661
In 0.932 4.661 0.932
In 2.797 2.797 2.797
In 2.797 6.526 6.526
In 4.661 0.932 0.932
In 4.661 4.661 4.661
In 6.526 2.797 6.526
In 6.526 6.526 2.797
```

Values from the calculation:
Total energy in eV/atom: -2.17
SG: Fd-3m



7.
VASP calculation (GGA-PBE) on a geometry-optimized Na2Nb5In3P12O48 structure. Values from VASP.

Geometry as Quantum ESPRESSO input:
```
&SYSTEM
  ibrav = 0, nat = 210, ntyp = 5
/
ATOMIC_SPECIES
Na 22.99 Na.upf
Nb 92.91 Nb.upf
In 114.82 In.upf
P 30.97 P.upf
O 16.00 O.upf
CELL_PARAMETERS angstrom
8.821 0.000 0.000
-0.004 15.283 0.000
-0.002 -0.004 22.873
ATOMIC_POSITIONS angstrom
Na 0.000 0.000 0.000
Na 8.819 5.137 7.744
Na 0.007 -0.002 11.434
Na 4.376 7.687 11.409
Na 4.388 7.697 0.017
Na 4.399 12.750 19.131
Nb 0.000 10.249 0.623
Nb 4.393 2.543 0.628
Nb 4.395 2.564 18.576
Nb 4.389 2.600 12.076
Nb 4.404 2.583 7.201
Nb 4.402 12.726 10.986
Nb 4.403 12.753 4.417
Nb 4.416 7.638 3.491
Nb 4.415 7.729 14.873
Nb 8.781 15.252 14.866
Nb 8.796 5.124 15.837
Nb 8.800 0.057 3.490
Nb 8.812 5.130 22.410
Nb 8.809 10.204 7.256
Nb 8.810 10.224 18.582
In 0.001 0.042 19.642
In 4.385 7.649 19.633
In 4.394 7.675 8.190
In 4.392 12.751 22.477
In 4.397 12.782 15.764
In 8.805 5.125 4.327
In 8.816 0.017 8.206
In 8.813 5.152 11.043
In 8.808 10.172 12.055
P 1.235 2.907 1.983
P 1.243 2.224 17.240
P 1.247 12.416 9.660
P 1.265 7.982 9.638
P 1.288 7.324 1.983
P 1.290 13.108 17.287
P 1.858 7.654 17.253
P 1.855 12.798 2.006
P 1.874 2.582 9.627
P 2.505 10.212 21.047
P 2.529 5.153 13.446
P 2.547 0.026 5.824
P 3.101 5.440 5.855
P 3.099 9.875 5.815
P 3.100 14.954 13.412
P 3.126 10.558 13.443
P 3.149 0.384 21.045
P 3.152 4.737 21.077
P 5.646 9.902 17.309
P 5.658 0.397 9.666
P 5.660 10.544 2.002
P 5.670 4.761 9.636
P 5.676 5.483 17.262
P 5.684 14.949 2.001
P 6.259 15.273 17.300
P 6.263 5.134 1.979
P 6.274 10.195 9.666
P 6.903 2.568 21.082
P 6.937 12.748 13.431
P 6.978 7.660 5.874
P 7.532 7.319 13.447
P 7.541 8.055 21.087
P 7.536 13.095 5.838
P 7.546 2.263 5.878
P 7.545 12.399 21.053
P 7.557 2.908 13.434
O 0.546 6.626 9.578
O 0.572 11.715 17.467
O 0.582 3.582 0.748
O 0.611 1.479 2.143
O 0.604 1.727 18.502
O 0.625 13.786 16.026
O 0.634 6.811 3.230
O 0.642 11.815 10.889
O 0.671 8.777 8.359
O 0.687 3.635 16.918
O 0.695 13.829 9.512
O 0.702 8.725 1.669
O 0.900 14.003 2.289
O 0.921 6.459 16.920
O 0.958 11.546 1.810
O 0.966 8.904 17.464
O 0.973 11.550 8.371
O 1.011 1.303 16.021
O 1.021 6.402 0.752
O 1.016 8.781 10.888
O 1.049 1.301 9.597
O 1.051 3.858 9.664
O 1.064 13.938 18.526
O 1.126 3.718 3.237
O 1.548 15.135 13.593
O 1.579 10.038 5.989
O 1.579 10.111 22.318
O 1.583 10.322 19.795
O 1.607 4.845 21.325
O 1.621 0.262 4.575
O 1.624 0.323 21.036
O 1.622 4.908 14.674
O 1.618 5.230 5.658
O 1.673 10.309 13.246
O 1.740 14.966 7.035
O 1.760 5.459 12.189
O 2.629 7.318 18.497
O 2.626 13.120 0.752
O 2.745 2.699 1.679
O 2.766 12.564 3.229
O 2.777 7.854 9.495
O 2.773 7.911 16.028
O 2.770 12.878 17.118
O 2.784 2.385 17.455
O 2.805 2.685 8.358
O 2.808 2.473 10.879
O 2.811 12.512 9.845
O 2.836 7.480 2.142
O 3.326 6.292 7.065
O 3.334 11.489 21.100
O 3.338 8.930 21.045
O 3.341 14.046 12.186
O 3.366 11.345 14.700
O 3.384 8.957 4.568
O 3.402 3.897 19.814
O 3.431 1.272 6.001
O 3.432 3.898 13.250
O 3.464 14.102 5.465
O 3.472 6.359 13.734
O 3.515 1.233 22.313
O 3.678 1.087 13.109
O 3.703 11.275 5.453
O 3.721 1.140 19.797
O 3.730 4.018 22.319
O 3.729 14.483 14.686
O 3.754 6.128 21.046
O 3.756 6.143 4.576
O 3.802 9.370 7.028
O 3.819 4.058 6.015
O 3.816 11.234 12.197
O 3.829 14.310 21.092
O 3.852 9.133 13.609
O 4.968 14.303 9.892
O 4.990 6.118 9.600
O 4.988 11.053 0.754
O 5.002 6.145 16.046
O 5.036 4.078 17.480
O 5.035 14.283 3.230
O 5.040 9.285 18.548
O 5.056 1.057 8.397
O 5.062 1.077 1.810
O 5.081 9.121 2.292
O 5.100 4.021 10.897
O 5.121 11.305 17.144
O 5.301 3.877 8.376
O 5.294 14.124 17.145
O 5.320 9.024 9.510
O 5.329 3.930 1.672
O 5.337 1.284 10.899
O 5.352 6.397 2.143
O 5.386 8.990 16.053
O 5.396 11.453 3.226
O 5.412 1.323 17.488
O 5.417 11.518 9.834
O 5.571 6.285 18.526
O 5.579 14.127 0.745
O 5.982 7.450 13.762
O 5.995 2.310 6.040
O 5.998 2.410 22.334
O 6.010 13.030 12.195
O 6.022 2.748 13.242
O 6.025 7.847 4.600
O 6.025 12.471 21.105
O 6.028 2.788 19.833
O 6.029 12.908 5.467
O 6.037 7.856 21.058
O 6.130 7.414 7.089
O 6.158 12.589 14.707
O 7.025 4.821 3.231
O 7.075 9.974 10.913
O 7.072 15.078 18.555
O 7.168 0.242 9.610
O 7.178 0.220 16.047
O 7.179 5.238 16.946
O 7.184 5.370 0.748
O 7.178 10.422 8.393
O 7.190 4.807 9.661
O 7.191 10.394 1.806
O 7.205 15.176 2.282
O 7.210 9.953 17.497
O 7.603 6.455 12.205
O 7.622 13.959 7.056
O 7.765 3.857 21.327
O 7.802 1.350 21.047
O 7.803 8.979 6.031
O 7.811 3.790 14.676
O 7.821 14.091 13.618
O 7.836 1.349 4.603
O 7.866 8.912 22.340
O 7.884 11.614 13.241
O 7.892 6.473 5.664
O 7.905 11.520 19.812
O 8.100 3.653 5.677
O 8.107 11.665 22.331
O 8.135 1.487 13.731
O 8.129 6.541 14.675
O 8.138 8.683 13.419
O 8.156 8.681 19.830
O 8.176 11.711 6.008
O 8.181 1.646 7.094
O 8.183 13.807 4.595
O 8.227 3.422 12.187
O 8.230 6.658 21.338
O 8.232 13.762 21.046
```

Values from the calculation:
Total energy in eV/atom: -7.48
SG: P1